(1)
Na5ScTa3Si5PO24: optimized geometry, PBE.

Cell lengths 9.032, 9.036, 22.493 Å; angles 90.11, 89.97, 119.95 degrees
Atoms (fractional coordinates):
1 Si 0.957 0.620 0.086
2 Si 0.378 0.336 0.083
3 Si 0.618 0.957 0.417
4 Si 0.335 0.960 0.916
5 Si 0.668 0.629 0.586
6 Si 0.284 0.286 0.751
7 Si 0.337 0.381 0.417
8 Si 0.044 0.662 0.417
9 Si 0.624 0.665 0.917
10 Si 0.711 0.997 0.751
11 Si 0.668 0.044 0.083
12 Si 0.004 0.716 0.750
13 Si 0.040 0.376 0.915
14 Si 0.961 0.333 0.586
15 Si 0.297 0.002 0.253
16 O 0.473 0.307 0.748
17 O 0.698 0.166 0.025
18 O 0.296 0.814 0.254
19 O 0.356 0.862 0.857
20 O 0.205 0.010 0.313
21 O 0.824 0.525 0.031
22 O 0.809 0.798 0.308
23 O 0.371 0.507 0.359
24 O 0.811 0.837 0.911
25 O 0.986 0.197 0.311
26 O 0.171 0.692 0.472
27 O 0.351 0.862 0.574
28 O 0.845 0.815 0.587
29 O 0.169 0.193 0.415
30 O 0.510 0.365 0.424
31 O 0.834 0.023 0.808
32 O 0.188 0.161 0.093
33 O 0.175 0.471 0.253
34 O 0.465 0.293 0.026
35 O 0.524 0.819 0.755
36 O 0.298 0.476 0.755
37 O 0.155 0.664 0.075
38 O 0.522 0.833 0.473
39 O 0.160 0.195 0.692
40 O 0.492 0.863 0.359
41 O 0.799 0.823 0.195
42 O 0.613 0.116 0.138
43 O 0.504 0.657 0.575
44 O 0.975 0.815 0.092
45 O 0.978 0.812 0.808
46 O 0.856 0.485 0.424
47 O 0.024 0.188 0.911
48 O 0.016 0.190 0.198
49 O 0.834 0.015 0.092
50 O 0.135 0.492 0.856
51 O 0.470 0.157 0.528
52 O 0.163 0.975 0.911
53 O 0.804 0.964 0.692
54 O 0.314 0.844 0.975
55 O 0.855 0.329 0.247
56 O 0.132 0.627 0.357
57 O 0.169 0.976 0.195
58 O 0.528 0.688 0.975
59 O 0.163 0.478 0.972
60 O 0.686 0.161 0.747
61 O 0.179 0.702 0.755
62 O 0.627 0.142 0.423
63 O 0.014 0.825 0.414
64 O 0.526 0.695 0.254
65 O 0.196 0.028 0.586
66 O 0.037 0.841 0.692
67 O 0.351 0.501 0.073
68 O 0.881 0.359 0.646
69 O 0.686 0.524 0.527
70 O 0.311 0.479 0.474
71 O 0.855 0.364 0.923
72 O 0.187 0.165 0.808
73 O 0.639 0.494 0.924
74 O 0.887 0.521 0.148
75 O 0.636 0.521 0.646
76 O 0.501 0.386 0.140
77 O 0.507 0.147 0.922
78 O 0.504 0.642 0.858
79 O 0.695 0.537 0.247
80 O 0.504 0.848 0.073
81 O 0.808 0.981 0.413
82 O 0.485 0.164 0.248
83 O 0.476 0.117 0.641
84 O 0.837 0.527 0.748
85 O 0.149 0.503 0.575
86 O 0.980 0.161 0.587
87 O 0.837 0.309 0.527
88 Na 0.333 0.655 0.165
89 Na 0.666 0.334 0.834
90 Na 0.999 0.012 0.995
91 Na 0.709 0.679 0.414
92 Na 0.321 0.032 0.412
93 Na 0.319 0.976 0.084
94 Na 0.987 0.365 0.746
95 Na 0.632 0.620 0.746
96 Na 0.967 0.289 0.413
97 Na 0.991 0.631 0.242
98 Na 0.377 0.011 0.748
99 Na 0.998 0.000 0.501
100 Na 0.332 0.662 0.664
101 Na 0.664 0.687 0.084
102 Na 0.648 0.316 0.323
103 Sc 0.005 0.003 0.354
104 Sc 0.670 0.339 0.686
105 Sc 0.658 0.325 0.184
106 Ta 0.667 0.332 0.978
107 Ta 0.000 0.999 0.858
108 Ta 0.671 0.336 0.482
109 Ta 0.337 0.669 0.311
110 Ta 0.997 0.999 0.644
111 Ta 0.334 0.665 0.522
112 Ta 0.333 0.666 0.813
113 Ta 0.329 0.664 0.018
114 Ta 0.004 0.004 0.146
115 P 0.003 0.293 0.253
116 P 0.375 0.042 0.584
117 P 0.707 0.711 0.251

- uncorrected energy (eV per atom) = -7.81
- formation energy from the elements (eV/f.u.) = -121.1
- theoretical density (g cm⁻³) = 3.9
- space-group type = P1, No. 1

---

(2)
Na8Sc3TaSi4P2O24: optimized geometry, PBE.

Cell lengths 9.172, 9.187, 22.507 Å; angles 90.01, 90.03, 119.99 degrees
Atoms (fractional coordinates):
1 O 0.134 0.499 0.861
2 O 0.645 0.152 0.425
3 O 0.686 0.528 0.247
4 O 0.875 0.513 0.143
5 O 0.479 0.124 0.641
6 O 0.375 0.491 0.358
7 O 0.152 0.456 0.978
8 O 0.148 0.652 0.080
9 O 0.509 0.825 0.758
10 O 0.160 0.472 0.252
11 O 0.982 0.189 0.305
12 O 0.358 0.867 0.579
13 O 0.155 0.700 0.475
14 O 0.499 0.636 0.861
15 O 0.118 0.626 0.358
16 O 0.310 0.837 0.252
17 O 0.840 0.312 0.247
18 O 0.187 0.163 0.085
19 O 0.006 0.824 0.410
20 O 0.309 0.487 0.758
21 O 0.815 0.023 0.810
22 O 0.036 0.818 0.695
23 O 0.852 0.530 0.747
24 O 0.189 0.980 0.193
25 O 0.681 0.521 0.527
26 O 0.783 0.959 0.692
27 O 0.357 0.502 0.081
28 O 0.641 0.518 0.645
29 O 0.830 0.033 0.085
30 O 0.486 0.356 0.144
31 O 0.485 0.327 0.747
32 O 0.503 0.653 0.580
33 O 0.202 0.030 0.586
34 O 0.474 0.310 0.025
35 O 0.634 0.488 0.922
36 O 0.850 0.360 0.923
37 O 0.644 0.127 0.140
38 O 0.675 0.159 0.746
39 O 0.470 0.153 0.528
40 O 0.012 0.186 0.912
41 O 0.511 0.869 0.079
42 O 0.508 0.881 0.358
43 O 0.843 0.809 0.585
44 O 0.791 0.811 0.193
45 O 0.527 0.688 0.252
46 O 0.019 0.208 0.192
47 O 0.815 0.821 0.911
48 O 0.300 0.454 0.475
49 O 0.839 0.315 0.527
50 O 0.837 0.522 0.025
51 O 0.176 0.213 0.692
52 O 0.818 0.993 0.410
53 O 0.174 0.182 0.410
54 O 0.305 0.848 0.978
55 O 0.210 0.019 0.305
56 O 0.504 0.349 0.425
57 O 0.686 0.157 0.027
58 O 0.974 0.163 0.585
59 O 0.512 0.146 0.923
60 O 0.147 0.503 0.580
61 O 0.873 0.355 0.645
62 O 0.810 0.792 0.305
63 O 0.847 0.494 0.424
64 O 0.174 0.987 0.912
65 O 0.167 0.691 0.758
66 O 0.545 0.845 0.475
67 O 0.967 0.809 0.085
68 O 0.210 0.183 0.810
69 O 0.475 0.155 0.246
70 O 0.547 0.699 0.978
71 O 0.981 0.790 0.807
72 O 0.362 0.862 0.861
73 Si 0.038 0.374 0.919
74 Si 0.702 0.997 0.751
75 Si 0.960 0.627 0.085
76 Si 0.335 0.960 0.919
77 Si 0.627 0.963 0.417
78 Si 0.373 0.334 0.085
79 Si 0.038 0.665 0.417
80 Si 0.294 0.296 0.751
81 Si 0.335 0.371 0.416
82 Si 0.627 0.666 0.919
83 Si 0.962 0.334 0.586
84 Si 0.667 0.629 0.586
85 Na 0.045 0.342 0.084
86 Na 0.707 0.027 0.912
87 Na 0.318 0.291 0.912
88 Na 0.292 0.957 0.080
89 Na 0.003 0.999 0.998
90 Na 0.991 0.352 0.743
91 Na 0.696 0.677 0.416
92 Na 0.977 0.681 0.914
93 Na 0.666 0.957 0.581
94 Na 0.632 0.998 0.255
95 Na 0.328 0.661 0.166
96 Na 0.324 0.021 0.416
97 Na 0.665 0.331 0.333
98 Na 0.039 0.702 0.581
99 Na 0.368 0.013 0.747
100 Na 0.335 0.662 0.660
101 Na 0.661 0.701 0.083
102 Na 0.641 0.635 0.741
103 Na 0.980 0.302 0.416
104 Na 0.296 0.339 0.584
105 Na 0.997 0.999 0.499
106 Na 0.662 0.327 0.827
107 Na 0.002 0.632 0.252
108 Na 0.368 0.369 0.252
109 Sc 0.001 0.005 0.851
110 Sc 0.668 0.335 0.685
111 Sc 0.668 0.338 0.184
112 Sc 0.331 0.664 0.019
113 Sc 0.994 0.004 0.648
114 Sc 0.333 0.663 0.516
115 Sc 0.000 0.000 0.354
116 Sc 0.334 0.666 0.319
117 Sc 0.003 0.000 0.145
118 P 0.001 0.295 0.249
119 P 0.668 0.046 0.083
120 P 0.376 0.043 0.584
121 P 0.006 0.708 0.751
122 P 0.704 0.706 0.249
123 P 0.295 0.998 0.249
124 Ta 0.335 0.665 0.815
125 Ta 0.665 0.337 0.979
126 Ta 0.671 0.337 0.481

- uncorrected energy (eV per atom) = -7.24
- formation energy from the elements (eV/f.u.) = -127.9
- theoretical density (g cm⁻³) = 3.2
- space-group type = P1, No. 1